Entry from Materials Project: an optimized crystal structure of Nb4P2S21 (r²SCAN).

Calculated values
The symmetry is C2.

Cell lengths 13.966, 13.966, 13.138 Å; angles 77.67, 77.67, 32.31 degrees
Element x y z (fractional)
1 S 0.449 0.699 0.484
2 S 0.583 0.836 0.873
3 S 0.283 0.571 0.791
4 S 0.757 0.659 0.646
5 S 0.813 0.504 0.168
6 S 0.341 0.243 0.354
7 S 0.551 0.304 0.015
8 S 0.412 0.169 0.083
9 S 0.164 0.417 0.127
10 S 0.660 0.756 0.146
11 S 0.252 0.040 0.042
12 S 0.696 0.449 0.985
13 S 0.244 0.340 0.854
14 S 0.306 0.550 0.069
15 S 0.504 0.813 0.668
16 S 0.716 0.430 0.707
17 S 0.999 0.997 0.160
18 S 0.969 0.142 0.226
19 S 0.750 0.955 0.457
20 S 0.831 0.588 0.917
21 S 0.838 0.582 0.373
22 S 0.140 0.970 0.711
23 S 0.045 0.250 0.543
24 S 0.496 0.187 0.832
25 S 0.301 0.551 0.516
26 S 0.418 0.162 0.627
27 S 0.960 0.748 0.958
28 S 0.570 0.284 0.293
29 S 0.548 0.307 0.569
30 S 0.003 0.001 0.840
31 S 0.256 0.045 0.300
32 S 0.590 0.831 0.417
33 S 0.030 0.860 0.289
34 S 0.039 0.256 0.805
35 S 0.693 0.452 0.431
36 S 0.744 0.961 0.195
37 S 0.187 0.496 0.332
38 S 0.429 0.717 0.209
39 S 0.858 0.031 0.774
40 S 0.450 0.694 0.931
41 S 0.169 0.410 0.583
42 S 0.955 0.744 0.700
43 P 0.013 0.770 0.808
44 P 0.230 0.987 0.192
45 P 0.986 0.230 0.692
46 P 0.770 0.014 0.308
47 Nb 0.703 0.581 0.530
48 Nb 0.299 0.419 0.970
49 Nb 0.583 0.701 0.322
50 Nb 0.699 0.583 0.822
51 Nb 0.419 0.297 0.470
52 Nb 0.299 0.417 0.678
53 Nb 0.581 0.701 0.030
54 Nb 0.417 0.301 0.178

---

Entry from Materials Project: an optimized crystal structure of TbGa (r²SCAN).

Calculated values
The symmetry is Cmcm.

Cell lengths 4.058, 4.347, 5.860 Å; angles 111.78, 90.00, 90.00 degrees
Element x y z (fractional)
1 Ga 0.250 0.575 0.149
2 Ga 0.750 0.425 0.851
3 Tb 0.250 0.861 0.722
4 Tb 0.750 0.139 0.278

---

VASP energy
In order: -11.22, -22.09
Unit: eV per atom